Material: PbWO2
Method: DFT, PBE+U
State: relaxed

Mass density, g/cm3: 10.3
Spin magnetization, μB/cell: 0.326
Energy above the most stable polymorph in this dataset, meV per atom: 188.5
E_form, meV per atom: -543
E_tot, eV per atom: -5.73

Lattice parameters (Å, degrees): 6.5339 6.5339 12.7941 90.00 90.00 90.00
Space group I4_1/amd (No. 141, origin choice 2)
Inequivalent atoms, fractional coordinates:
Pb 0.0000 0.0000 0.0000 [8 per cell]
W 0.0000 0.0000 0.5000 [8 per cell]
O 0.0000 0.0504 0.1994 [16 per cell]

=====

Material: PbWO2
Method: DFT, PBE+U
State: relaxed

Mass density, g/cm3: 9.6
Spin magnetization, μB/cell: 20.370
Energy above the most stable polymorph in this dataset, meV per atom: 0.0
E_form, meV per atom: -732
E_tot, eV per atom: -5.92

Lattice parameters (Å, degrees): 6.7710 6.7710 12.7749 90.00 90.00 90.00
Space group I4_1/a (No. 88, origin choice 2)
Inequivalent atoms, fractional coordinates:
Pb 0.0000 0.0000 0.0000 [8 per cell]
W 0.0000 0.0000 0.5000 [8 per cell]
O 0.0120 0.4342 0.7573 [16 per cell]

=====

Material: Pb2WO5
Method: DFT, PBE+U
State: relaxed

Mass density, g/cm3: 7.5
Spin magnetization, μB/cell: 0.002
E_form, meV per atom: -1875
E_tot, eV per atom: -6.53

Lattice parameters (Å, degrees): 14.4208 5.9620 7.5424 90.00 111.76 90.00
Space group C2/m (No. 12)
Inequivalent atoms, fractional coordinates:
Pb 0.0062 0.0000 0.2451 [4 per cell]
Pb 0.1342 0.5000 0.1120 [4 per cell]
W 0.1731 0.5000 0.6612 [4 per cell]
O 0.0000 0.2473 0.0000 [4 per cell]
O 0.0956 0.5000 0.4056 [4 per cell]
O 0.1476 0.2571 0.7807 [8 per cell]
O 0.1952 0.0000 0.3036 [4 per cell]

=====

Material: Pr4V5Si4O22
Method: DFT, PBE+U
State: relaxed

Mass density, g/cm3: 5.0
Spin magnetization, μB/cell: 13.996
E_form, meV per atom: -3186
E_tot, eV per atom: -8.09

Lattice parameters (Å, degrees): 13.5737 5.7108 11.1842 90.00 100.46 90.00
Space group C2/m (No. 12)
Inequivalent atoms, fractional coordinates:
Pr 0.0733 0.0000 0.2489 [4 per cell]
Pr 0.1437 0.5000 0.7564 [4 per cell]
V 0.0000 0.0000 0.5000 [2 per cell]
V 0.0000 0.5000 0.0000 [2 per cell]
V 0.0000 0.5000 0.5000 [2 per cell]
V 0.2500 0.2500 0.5000 [4 per cell]
Si 0.1385 0.0000 0.9576 [4 per cell]
Si 0.2034 0.5000 0.2292 [4 per cell]
O 0.0227 0.2411 0.6306 [8 per cell]
O 0.0702 0.2357 0.9124 [8 per cell]
O 0.0880 0.5000 0.1627 [4 per cell]
O 0.1427 0.0000 0.4762 [4 per cell]
O 0.1501 0.5000 0.5172 [4 per cell]
O 0.1871 0.0000 0.0996 [4 per cell]
O 0.2214 0.0000 0.8682 [4 per cell]
O 0.2266 0.2619 0.3115 [8 per cell]

=====

Material: Sr2PrVO6
Method: DFT, PBE+U
State: relaxed

Mass density, g/cm3: 5.2
Spin magnetization, μB/cell: 0.000
E_form, meV per atom: -3005
E_tot, eV per atom: -7.12

Lattice parameters (Å, degrees): 8.4177 8.4177 8.4177 90.00 90.00 90.00
Space group Fm-3m (No. 225)
Inequivalent atoms, fractional coordinates:
Sr 0.2500 0.2500 0.2500 [8 per cell]
Pr 0.0000 0.0000 0.0000 [4 per cell]
V 0.0000 0.0000 0.5000 [4 per cell]
O 0.0000 0.0000 0.2742 [24 per cell]

=====

Material: SrPrVO4
Method: DFT, PBE+U
State: relaxed

Mass density, g/cm3: 5.9
Spin magnetization, μB/cell: 3.993
E_form, meV per atom: -3159
E_tot, eV per atom: -7.57

Lattice parameters (Å, degrees): 3.9125 3.9125 12.6846 90.00 90.00 90.00
Space group I4mm (No. 107)
Inequivalent atoms, fractional coordinates:
Sr 0.0000 0.0000 0.0000 [2 per cell]
Pr 0.0000 0.0000 0.7123 [2 per cell]
V 0.0000 0.0000 0.3574 [2 per cell]
O 0.0000 0.0000 0.1887 [2 per cell]
O 0.0000 0.0000 0.5290 [2 per cell]
O 0.0000 0.5000 0.3467 [4 per cell]

=====

Material: PrTlW2O8
Method: DFT, PBE+U
State: relaxed

Mass density, g/cm3: 7.2
Spin magnetization, μB/cell: 0.000
Energy above the most stable polymorph in this dataset, meV per atom: 142.9
E_form, meV per atom: -2337
E_tot, eV per atom: -7.19

Lattice parameters (Å, degrees): 11.4707 11.7685 7.8945 90.00 133.41 90.00
Space group C2/m (No. 12)
Inequivalent atoms, fractional coordinates:
Pr 0.2355 0.0000 0.0660 [4 per cell]
Tl 0.0000 0.2188 0.5000 [4 per cell]
W 0.0000 0.3432 0.0000 [4 per cell]
W 0.2436 0.5000 0.5004 [4 per cell]
O 0.0265 0.5000 0.8490 [4 per cell]
O 0.0361 0.0000 0.2952 [4 per cell]
O 0.0705 0.2497 0.9068 [8 per cell]
O 0.2135 0.3915 0.6422 [8 per cell]
O 0.2147 0.3836 0.2900 [8 per cell]

=====

Material: PrTlW2O8
Method: DFT, PBE+U
State: relaxed

Mass density, g/cm3: 7.9
Spin magnetization, μB/cell: 0.000
Energy above the most stable polymorph in this dataset, meV per atom: 0.0
E_form, meV per atom: -2480
E_tot, eV per atom: -7.34

Lattice parameters (Å, degrees): 11.0533 10.9569 7.5780 90.00 129.84 90.00
Space group C2/c (No. 15)
Inequivalent atoms, fractional coordinates:
Pr 0.0000 0.2245 0.2500 [4 per cell]
Tl 0.0000 0.2041 0.7500 [4 per cell]
W 0.1918 0.4953 0.2218 [8 per cell]
O 0.0226 0.3940 0.4733 [8 per cell]
O 0.1345 0.0797 0.1891 [8 per cell]
O 0.1855 0.4348 0.9412 [8 per cell]
O 0.2285 0.1556 0.6339 [8 per cell]